First-principles (r²SCAN) data for crystalline Gd2TiO5 at its relaxed geometry, as listed in Materials Project. Values from VASP.

Cell and atoms, written as Quantum ESPRESSO input:
```
&SYSTEM
  ibrav = 0, nat = 32, ntyp = 3
/
ATOMIC_SPECIES
Gd 157.25 Gd.upf
Ti 47.87 Ti.upf
O 16.00 O.upf
ATOMIC_POSITIONS crystal
Gd 0.1116 0.2500 0.2222
Gd 0.1366 0.2500 0.5566
Gd 0.3634 0.7500 0.0566
Gd 0.3884 0.7500 0.7222
Gd 0.6116 0.2500 0.2778
Gd 0.6366 0.2500 0.9434
Gd 0.8634 0.7500 0.4434
Gd 0.8884 0.7500 0.7778
Ti 0.1771 0.2500 0.8794
Ti 0.3229 0.7500 0.3794
Ti 0.6771 0.2500 0.6206
Ti 0.8229 0.7500 0.1206
O 0.0068 0.7500 0.6045
O 0.0117 0.2500 0.8444
O 0.2242 0.2500 0.0409
O 0.2351 0.7500 0.8821
O 0.2400 0.7500 0.2299
O 0.2600 0.2500 0.7299
O 0.2649 0.2500 0.3821
O 0.2758 0.7500 0.5409
O 0.4883 0.7500 0.3444
O 0.4932 0.2500 0.1045
O 0.5068 0.7500 0.8955
O 0.5117 0.2500 0.6556
O 0.7242 0.2500 0.4591
O 0.7351 0.7500 0.6179
O 0.7400 0.7500 0.2701
O 0.7600 0.2500 0.7701
O 0.7649 0.2500 0.1179
O 0.7758 0.7500 0.9591
O 0.9883 0.7500 0.1556
O 0.9932 0.2500 0.3955
CELL_PARAMETERS angstrom
10.4981 0.0000 0.0000
0.0000 3.7458 0.0000
0.0000 0.0000 11.3439
```

Calculated values
Symmetry   No. 62
Electronic total energy   -635.94 eV/cell